{"formula": "Cs2SCl6F", "functional": "PBE", "state": "optimized geometry", "lattice_angstrom": [[0.000, 5.166, 5.166], [5.166, 0.000, 5.166], [5.166, 5.166, 0.000]], "species": ["Cl", "Cl", "Cl", "Cl", "S", "Cs", "Cl", "Cl", "Cs", "F"], "frac_coords": [[0.776, 0.224, 0.224], [0.224, 0.776, 0.224], [0.224, 0.224, 0.776], [0.224, 0.776, 0.776], [0.000, 0.000, 0.000], [0.750, 0.750, 0.750], [0.776, 0.776, 0.224], [0.776, 0.224, 0.776], [0.250, 0.250, 0.250], [0.500, 0.500, 0.500]], "final_energy_ev_per_atom": -2.801, "ef_kj_per_mol_atoms": -92, "crystal_system": "cubic"}